No. 1
Compound: Li2Zr4As3P3O24
Source: the Materials Project
Functional: PBE
Structure: optimized geometry

Calculated values
Crystal system: monoclinic
Relative energy among the computed polymorphs (meV per atom): 0
Total energy after the MP2020 corrections (eV per atom): -8.0248
Energy of formation (eV/atom): -2.83
Calculated volume (Å³/cell): 1077.5

Lattice parameters (Å, degrees): 9.1763 9.1171 15.6247 55.52 90.00 90.00
With the nearest neighbours (Å) after each atom.
Atoms (fractional coordinates):
O1 0.8212 0.1763 0.4779  1 As 1.71
As1 0.1334 0.2481 0.8538  4 O 1.69-1.72
O2 0.0789 0.5001 0.4092  1 As 1.69
Zr1 0.2324 0.3565 0.3849  6 O 2.08-2.12
O3 0.7683 0.0584 0.7751  1 P 1.56
O4 0.6128 0.6067 0.4418  1 P 1.55
P1 0.3496 0.0254 0.3565  4 O 1.54-1.56
O5 0.0825 0.7511 0.9133  1 As 1.72
Li1 0.0299 0.9825 0.3337  3 O 2.01-2.04
P2 0.8490 0.9717 0.1432  4 O 1.54-1.57
Zr2 0.7003 0.8542 0.3838  6 O 2.04-2.14
O6 0.9489 0.2709 0.8392  1 As 1.71
O7 0.6776 0.8230 0.5230  1 As 1.71
O8 0.1679 0.0832 0.8351  1 As 1.72
O9 0.0511 0.2709 0.3392  1 As 1.71
O10 0.2074 0.1372 0.5407  1 P 1.54
O11 0.7333 0.9351 0.2270  1 P 1.57
Zr3 0.2997 0.8542 0.8838  6 O 2.04-2.14
O12 0.6533 0.9238 0.6614  1 As 1.72
O13 0.8321 0.0832 0.3351  1 As 1.72
Li2 0.9701 0.9825 0.8337  3 O 2.01-2.04
O14 0.3224 0.8230 0.0230  1 As 1.71
O15 0.5472 0.7085 0.1681  1 As 1.70
O16 0.3872 0.6067 0.9418  1 P 1.55
O17 0.7926 0.1372 0.0407  1 P 1.54
O18 0.4993 0.9914 0.3235  1 P 1.56
O19 0.1429 0.8100 0.6367  1 P 1.54
O20 0.1087 0.5461 0.5735  1 As 1.69
O21 0.3467 0.9238 0.1614  1 As 1.72
As2 0.3660 0.7515 0.1470  4 O 1.69-1.72
O22 0.3597 0.1892 0.3611  1 P 1.54
As3 0.6340 0.7515 0.6470  4 O 1.69-1.72
O23 0.4196 0.2721 0.0794  1 P 1.56
O24 0.2667 0.9351 0.7270  1 P 1.57
Zr4 0.2077 0.1421 0.1165  6 O 2.02-2.18
O25 0.4528 0.7085 0.6681  1 As 1.70
O26 0.4201 0.4965 0.5807  1 P 1.54
As4 0.8666 0.2481 0.3538  4 O 1.69-1.72
Zr5 0.7676 0.3565 0.8849  6 O 2.08-2.12
Li3 0.4607 0.0437 0.6582  3 O 2.02-2.06
O27 0.7644 0.4301 0.2713  1 As 1.69
O28 0.2317 0.0584 0.2751  1 P 1.56
O29 0.9996 0.0111 0.6716  1 P 1.56
As5 0.9954 0.5439 0.4889  4 O 1.69-1.72
O30 0.3008 0.8603 0.4614  1 P 1.54
O31 0.3976 0.4424 0.4376  1 P 1.54
As6 0.0046 0.5439 0.9889  4 O 1.69-1.72
P3 0.6504 0.0254 0.8565  4 O 1.54-1.56
O32 0.9175 0.7511 0.4133  1 As 1.72
O33 0.8571 0.8100 0.1367  1 P 1.54
O34 0.1312 0.3875 0.0659  1 As 1.70
O35 0.5007 0.9914 0.8235  1 P 1.56
P4 0.1510 0.9717 0.6432  4 O 1.54-1.57
O36 0.2605 0.5752 0.2315  1 As 1.69
O37 0.8913 0.5461 0.0735  1 As 1.69
O38 0.0004 0.0111 0.1716  1 P 1.56
O39 0.5799 0.4965 0.0807  1 P 1.54
O40 0.6403 0.1892 0.8611  1 P 1.54
O41 0.6024 0.4424 0.9376  1 P 1.54
O42 0.9211 0.5001 0.9092  1 As 1.69
P5 0.5018 0.4559 0.5105  4 O 1.54-1.56
Zr6 0.7246 0.6381 0.1169  6 O 2.04-2.14
Zr7 0.2754 0.6381 0.6169  6 O 2.04-2.14
Zr8 0.7923 0.1421 0.6165  6 O 2.02-2.18
O43 0.1788 0.1763 0.9779  1 As 1.71
Li4 0.5393 0.0437 0.1582  3 O 2.02-2.06
O44 0.8688 0.3875 0.5659  1 As 1.70
O45 0.7395 0.5752 0.7315  1 As 1.69
P6 0.4982 0.4559 0.0105  4 O 1.54-1.56
O46 0.6992 0.8603 0.9614  1 P 1.54
O47 0.2356 0.4301 0.7713  1 As 1.69
O48 0.5804 0.2721 0.5794  1 P 1.56


No. 2
Compound: K6MgSb2S8
Source: the Materials Project
Functional: PBE
Structure: optimized geometry

Calculated values
Crystal system: triclinic
Relative energy among the computed polymorphs (meV per atom): 0
Total energy after the MP2020 corrections (eV per atom): -4.0584
Energy of formation (eV/atom): -1.14
Calculated volume (Å³/cell): 537.4

Lattice parameters (Å, degrees): 8.2952 8.0720 8.4906 108.85 87.65 91.88
With the nearest neighbours (Å) after each atom.
Atoms (fractional coordinates):
S1 0.1808 0.4774 0.4880  1 Mg 2.38
S2 0.9451 0.0088 0.4369  1 Sb 2.45, 1 Mg 2.52
K1 0.9761 0.8158 0.7052  4 S 3.17-3.47
S3 0.6965 0.1372 0.8922  1 Sb 2.38
K2 0.0032 0.3292 0.1570  4 S 3.09-3.45, 1 Mg 3.40
Mg1 0.2060 0.1688 0.4137  4 S 2.38-2.55
S4 0.6503 0.4088 0.5813  1 Sb 2.37
K3 0.4776 0.5619 0.2941  3 S 3.08-3.45
S5 0.3268 0.4354 0.9389  1 Sb 2.37
K4 0.6278 0.0372 0.2454  6 S 3.20-3.50
S6 0.8323 0.7028 0.0274  1 Sb 2.42
Sb1 0.5166 0.2574 0.7483  4 S 2.37-2.41
K5 0.4354 0.7439 0.7873  5 S 3.24-3.49
K6 0.9700 0.3675 0.7488  6 S 3.10-3.37, 1 Mg 3.36
Sb2 0.0662 0.7820 0.1987  3 S 2.42-2.49
S7 0.3820 0.0102 0.5560  1 Sb 2.41, 1 Mg 2.55
S8 0.2328 0.9974 0.1057  1 Sb 2.49, 1 Mg 2.54


No. 3
Compound: Te4Mo3WSe2S2
Source: the Materials Project
Functional: PBE
Structure: optimized geometry

Calculated values
Crystal system: trigonal
Relative energy among the computed polymorphs (meV per atom): 37
Total energy after the MP2020 corrections (eV per atom): -6.6106
Energy of formation (eV/atom): -0.50
Calculated volume (Å³/cell): 388.0

Lattice parameters (Å, degrees): 3.3998 3.3998 38.7636 90.00 90.00 120.00
With the nearest neighbours (Å) after each atom.
Atoms (fractional coordinates):
Mo1 0.0000 0.0000 0.0939  6 Se 2.56
Se1 0.3333 0.6667 0.1365  3 Mo 2.56
Te1 0.0000 0.0000 0.6093  3 Mo 2.71
Mo2 0.3333 0.6667 0.6576  6 Te 2.71
Te2 0.3333 0.6667 0.4210  3 W 2.72
Mo3 0.3333 0.6667 0.2818  6 S 2.47
S1 0.0000 0.0000 0.2430  3 Mo 2.47
Te3 0.3333 0.6667 0.5181  3 W 2.72
Se2 0.3333 0.6667 0.0513  3 Mo 2.56
W1 0.0000 0.0000 0.4696  6 Te 2.72
Te4 0.0000 0.0000 0.7059  3 Mo 2.71
S2 0.0000 0.0000 0.3205  3 Mo 2.47


No. 4
Compound: Zr4Ni
Source: the Materials Project
Functional: PBE
Structure: optimized geometry

Calculated values
Crystal system: cubic
Energy of formation (eV/atom): 0.45
Calculated volume (Å³/cell): 236.0

Lattice parameters (Å, degrees): 6.9364 6.9364 6.9364 60.00 60.00 60.00
With the nearest neighbours (Å) after each atom.
Atoms (fractional coordinates):
Zr1 0.5802 0.1399 0.1399  1 Ni 2.38
Zr2 0.1399 0.1399 0.1399  1 Ni 2.38
Ni1 0.7500 0.7500 0.7500  4 Zr 2.38
Zr3 0.1698 0.6101 0.6101  1 Ni 2.38
Zr4 0.1399 0.1399 0.5802  1 Ni 2.38
Zr5 0.1399 0.5802 0.1399  1 Ni 2.38
Zr6 0.6101 0.1698 0.6101  1 Ni 2.38
Zr7 0.6101 0.6101 0.6101  1 Ni 2.38
Ni2 0.0000 0.0000 0.0000  4 Zr 2.38
Zr8 0.6101 0.6101 0.1698  1 Ni 2.38


No. 5
Compound: Zr
Source: the Materials Project
Functional: PBE
Structure: optimized geometry

Calculated values
Crystal system: hexagonal
Relative energy among the computed polymorphs (meV per atom): 362
Energy of formation (eV/atom): 0.36
Calculated volume (Å³/cell): 23.9

Lattice parameters (Å, degrees): 3.0113 3.0113 3.0370 90.00 90.00 120.00
With the nearest neighbours (Å) after each atom.
Atoms (fractional coordinates):
Zr1 0.0000 0.0000 0.0000  8 Zr 3.01-3.04


No. 6
Compound: KMg3Si4O12
Source: the Materials Project
Functional: PBE
Structure: optimized geometry

Calculated values
Crystal system: trigonal
Relative energy among the computed polymorphs (meV per atom): 11
Total energy after the MP2020 corrections (eV per atom): -7.3864
Energy of formation (eV/atom): -3.04
Calculated volume (Å³/cell): 782.3

Lattice parameters (Å, degrees): 5.3077 5.3077 32.0660 90.00 90.00 120.00
With the nearest neighbours (Å) after each atom.
Atoms (fractional coordinates):
O1 0.2181 0.4542 0.9636  1 Si 1.60
O2 0.2181 0.7639 0.0364  1 Si 1.60
O3 0.5638 0.6339 0.4400  2 Si 1.67
Mg1 0.8864 0.7728 0.6667  6 O 1.98-2.17
Mg2 0.2220 0.4440 0.6667  6 O 2.05-2.12
Si1 0.2285 0.7701 0.0864  4 O 1.60-1.67
Mg3 0.2220 0.7780 0.3333  6 O 2.05-2.12
Mg4 0.5560 0.7780 0.0000  6 O 2.05-2.12
Mg5 0.8851 0.4426 0.0000  6 O 1.98-2.17
O4 0.3661 0.9299 0.7734  2 Si 1.67
O5 0.3836 0.4373 0.7728  2 Si 1.66
O6 0.2065 0.1040 0.2970  1 Si 1.61
O7 0.0739 0.1262 0.4403  2 Si 1.66
O8 0.5632 0.1195 0.3635  3 Mg 1.98-2.05
O9 0.8805 0.4368 0.3031  3 Mg 1.98-2.05
Si2 0.8971 0.7943 0.4197  4 O 1.61-1.67
O10 0.8738 0.9477 0.7736  2 Si 1.66
K1 0.7204 0.4408 0.1667  4 O 2.68-2.98
Si3 0.5417 0.7701 0.2470  4 O 1.60-1.67
O11 0.2361 0.7819 0.6303  1 Si 1.60
O12 0.8805 0.4437 0.6969  3 Mg 1.98-2.05
Si4 0.2299 0.4583 0.4197  4 O 1.60-1.67
Mg6 0.2272 0.1136 0.0000  6 O 1.98-2.17
O13 0.0701 0.4362 0.1067  2 Si 1.67
O14 0.0739 0.9477 0.5597  2 Si 1.66
O15 0.8960 0.1024 0.6304  1 Si 1.61
O16 0.5627 0.9463 0.1061  2 Si 1.66
Mg7 0.8864 0.1136 0.3333  6 O 1.98-2.17
Si5 0.5417 0.7715 0.7530  4 O 1.60-1.67
O17 0.5627 0.6164 0.8939  2 Si 1.66
Si6 0.8971 0.1028 0.5803  4 O 1.61-1.67
O18 0.5563 0.4368 0.0302  3 Mg 1.98-2.05
O19 0.8976 0.7935 0.9637  1 Si 1.61
Si7 0.8972 0.7943 0.9136  4 O 1.61-1.67
O20 0.5458 0.7639 0.2969  1 Si 1.60
O21 0.5638 0.9299 0.5600  2 Si 1.67
Si8 0.8972 0.1029 0.0864  4 O 1.61-1.67
O22 0.3661 0.4362 0.2266  2 Si 1.67
O23 0.5632 0.4437 0.6365  3 Mg 1.98-2.05
O24 0.2065 0.1024 0.7030  1 Si 1.61
Mg8 0.5574 0.1149 0.6667  6 O 1.98-2.17
K2 0.5592 0.2796 0.5000  4 O 2.68-2.98
O25 0.3836 0.9463 0.2272  2 Si 1.66
O26 0.8976 0.1040 0.0363  1 Si 1.61
O27 0.0537 0.6164 0.4394  2 Si 1.66
O28 0.0523 0.1262 0.8930  2 Si 1.66
Mg9 0.5574 0.4426 0.3333  6 O 1.98-2.17
Si9 0.2057 0.1028 0.7530  4 O 1.61-1.67
O29 0.2361 0.4542 0.3697  1 Si 1.60
Si10 0.2057 0.1029 0.2470  4 O 1.61-1.67
Si11 0.2285 0.4583 0.9136  4 O 1.60-1.67
O30 0.5458 0.7819 0.7031  1 Si 1.60
O31 0.0537 0.4373 0.5606  2 Si 1.66
O32 0.8960 0.7935 0.3696  1 Si 1.61
Si12 0.2299 0.7715 0.5803  4 O 1.60-1.67
O33 0.8738 0.9261 0.2264  2 Si 1.66
O34 0.0523 0.9261 0.1070  2 Si 1.66
O35 0.5563 0.1195 0.9698  3 Mg 1.98-2.05
K3 0.7204 0.2796 0.8333  4 O 2.68-2.98
O36 0.0701 0.6339 0.8933  2 Si 1.67